The following is a PBE calculation of a relaxed KHC2O4 crystal, from the Materials Project database.

```
KHC2O4
1.0
4.4899 0.0000 0.0000
0.0000 12.9238 0.0000
-2.1297 0.0000 7.7012
K H C O
4 4 8 16
Cartesian
0.2551 0.8696 2.1007 K
-0.8098 5.5923 5.9513 K
3.1699 7.3315 1.7499 K
2.1051 12.0542 5.6006 K
-1.4620 9.3658 7.5648 H
-0.3971 10.0198 3.7142 H
2.7573 2.9040 3.9871 H
3.8222 3.5579 0.1365 H
-0.1037 1.9698 5.4765 C
0.9611 4.4921 1.6259 C
0.4672 8.6858 4.8458 C
1.5320 10.6999 0.9951 C
0.8282 2.2239 6.7061 C
1.8930 4.2380 2.8555 C
1.3991 8.4317 6.0753 C
2.4639 10.9540 2.2247 C
-0.8220 2.9579 5.1103 O
0.2428 3.5040 1.2597 O
-0.0598 7.7423 4.2529 O
1.0050 11.6433 0.4023 O
-0.0659 0.8251 4.9641 O
0.9989 5.6367 1.1135 O
1.3612 9.4265 0.6778 O
0.2963 9.9591 4.5284 O
2.0639 2.9647 3.1728 O
0.9990 3.4972 7.0234 O
1.3613 7.2870 6.5877 O
2.4261 12.0986 2.7371 O
1.3552 1.2804 7.2989 O
2.4200 5.1814 3.4483 O
2.1174 9.4198 6.4416 O
3.1822 9.9659 2.5910 O
```

Calculated volume ... 446.9 Å³ per cell
Formation energy from the elements ... -1.677 eV/atom
Total moment ... 0.0 μB/cell